1.
## CaBiF5 (PBE)

Data for a relaxed structure of CaBiF5.

```
14
Lattice="4.925 -3.580 0.000 4.925 3.580 0.000 -3.636 0.000 7.640" Properties=species:S:1:pos:R:3 pbc="T T T"
Ca 2.199 3.377 5.730
Ca 4.016 -3.377 1.910
Bi 4.925 0.000 0.000
Bi 3.108 0.000 3.820
F 4.672 2.248 0.340
F 3.361 2.248 3.480
F 1.135 0.157 2.791
F -0.683 -0.157 6.611
F 2.199 0.957 5.730
F 4.016 -0.957 1.910
F 6.898 0.157 1.028
F 5.080 -0.157 4.848
F 2.854 -2.248 4.160
F 1.543 -2.248 7.300
```

Computed properties:
SG: No. 15
Corrected total energy (MP2020 scheme): -0.4071 Ry per atom
Calculated total energy: -0.191 hartree per atom
Calculated volume: 19.2 A^3/atom
Calculated formation energy: -3.329 eV/atom

***

2.
## SrCaInBiO6 (PBE)

Data for a relaxed structure of SrCaInBiO6.

```
10
Lattice="0.000 4.210 4.210 4.210 0.000 4.210 4.210 4.210 0.000" Properties=species:S:1:pos:R:3 pbc="T T T"
Sr 0.000 0.000 0.000
Ca 4.210 4.210 4.210
In 6.315 6.315 6.315
Bi 2.105 2.105 2.105
O 2.105 2.105 0.012
O 2.105 0.012 2.105
O 4.198 2.105 2.105
O 0.012 2.105 2.105
O 2.105 4.198 2.105
O 2.105 2.105 4.198
```

Computed properties:
SG: No. 216
Corrected total energy (MP2020 scheme): -0.4533 Ry per atom
Calculated total energy: -0.212 hartree per atom
Calculated volume: 14.9 A^3/atom
Calculated formation energy: -2.166 eV/atom

***

3.
## KCaNbBiO6 (PBE)

Data for a relaxed structure of KCaNbBiO6.

```
10
Lattice="0.000 4.213 4.213 4.213 0.000 4.213 4.213 4.213 0.000" Properties=species:S:1:pos:R:3 pbc="T T T"
K 0.000 0.000 0.000
Ca 4.213 4.213 4.213
Nb 6.320 6.320 6.320
Bi 2.107 2.107 2.107
O 6.320 6.320 4.318
O 6.320 4.318 6.320
O 8.322 6.320 6.320
O 4.318 6.320 6.320
O 6.320 8.322 6.320
O 6.320 6.320 8.322
```

Computed properties:
SG: No. 216
Corrected total energy (MP2020 scheme): -0.5202 Ry per atom
Calculated total energy: -0.245 hartree per atom
Calculated volume: 15.0 A^3/atom
Calculated formation energy: -2.398 eV/atom

***

Please write out number 1 again, unchanged.
## CaBiF5 (PBE)

Data for a relaxed structure of CaBiF5.

```
14
Lattice="4.925 -3.580 0.000 4.925 3.580 0.000 -3.636 0.000 7.640" Properties=species:S:1:pos:R:3 pbc="T T T"
Ca 2.199 3.377 5.730
Ca 4.016 -3.377 1.910
Bi 4.925 0.000 0.000
Bi 3.108 0.000 3.820
F 4.672 2.248 0.340
F 3.361 2.248 3.480
F 1.135 0.157 2.791
F -0.683 -0.157 6.611
F 2.199 0.957 5.730
F 4.016 -0.957 1.910
F 6.898 0.157 1.028
F 5.080 -0.157 4.848
F 2.854 -2.248 4.160
F 1.543 -2.248 7.300
```

Computed properties:
SG: No. 15
Corrected total energy (MP2020 scheme): -0.4071 Ry per atom
Calculated total energy: -0.191 hartree per atom
Calculated volume: 19.2 A^3/atom
Calculated formation energy: -3.329 eV/atom

***

- Look up the calculated volume of the third one.
  15.0 A^3/atom

***

- Which of these has the highest corrected total energy (MP2020 scheme)?
  CaBiF5